(1)
Below is a geometry-optimized SbOF6 structure, with properties calculated at the GGA-PBE level.

## Properties
- Calculated formation energy: -1.79 eV/atom
- Total magnetic moment: 12.00 μB/cell
- Total energy: -125.74 eV for the cell shown

POSCAR file:
```
SbOF6
1.0
-4.8367 4.8367 4.8367
4.8367 -4.8367 4.8367
4.8367 4.8367 -4.8367
Sb O F
4 4 24
Direct
0.0000 0.0000 0.5000 Sb
0.0000 0.5000 0.0000 Sb
0.5000 0.0000 0.0000 Sb
0.5000 0.5000 0.5000 Sb
0.0000 0.0000 0.0000 O
0.0000 0.5000 0.5000 O
0.5000 0.0000 0.5000 O
0.5000 0.5000 0.0000 O
0.0149 0.9402 0.7059 F
0.0598 0.2941 0.9851 F
0.0747 0.5149 0.8090 F
0.1910 0.9253 0.4851 F
0.2059 0.2657 0.6910 F
0.2343 0.4402 0.4253 F
0.2657 0.6910 0.2059 F
0.2941 0.9851 0.0598 F
0.3090 0.7941 0.7343 F
0.4253 0.2343 0.4402 F
0.4402 0.4253 0.2343 F
0.4851 0.1910 0.9253 F
0.5149 0.8090 0.0747 F
0.5598 0.5747 0.7657 F
0.5747 0.7657 0.5598 F
0.6910 0.2059 0.2657 F
0.7059 0.0149 0.9402 F
0.7343 0.3090 0.7941 F
0.7657 0.5598 0.5747 F
0.7941 0.7343 0.3090 F
0.8090 0.0747 0.5149 F
0.9253 0.4851 0.1910 F
0.9402 0.7059 0.0149 F
0.9851 0.0598 0.2941 F
```

***

(2)
Below is a geometry-optimized IO6 structure, with properties calculated at the GGA-PBE level.

## Properties
- Calculated formation energy: 0.28 eV/atom
- Total magnetic moment: 19.54 μB/cell
- Total energy: -100.40 eV for the cell shown

POSCAR file:
```
IO6
1.0
5.0360 0.0000 0.0000
0.0000 19.3299 0.0000
-2.4170 0.0000 5.1170
I O
4 24
Direct
0.1395 0.1227 0.1773 I
0.1395 0.3773 0.6773 I
0.8605 0.6227 0.3227 I
0.8605 0.8773 0.8227 I
0.0826 0.0611 0.4090 O
0.0826 0.4389 0.9090 O
0.1411 0.6940 0.3702 O
0.1411 0.8060 0.8702 O
0.1977 0.5861 0.5966 O
0.1977 0.9139 0.0966 O
0.2165 0.1863 0.9600 O
0.2165 0.3137 0.4600 O
0.4243 0.0526 0.2241 O
0.4243 0.4474 0.7241 O
0.4788 0.1622 0.4456 O
0.4788 0.3378 0.9456 O
0.5212 0.6622 0.0544 O
0.5212 0.8378 0.5544 O
0.5757 0.5526 0.2759 O
0.5757 0.9474 0.7759 O
0.7835 0.6863 0.5400 O
0.7835 0.8137 0.0400 O
0.8023 0.0861 0.9034 O
0.8023 0.4139 0.4034 O
0.8589 0.1940 0.1298 O
0.8589 0.3060 0.6298 O
0.9174 0.5611 0.0910 O
0.9174 0.9389 0.5910 O
```

***

(3)
Below is a geometry-optimized Nd3Er structure, with properties calculated at the GGA-PBE level.

## Properties
- Calculated formation energy: 0.03 eV/atom
- Total energy: -37.53 eV for the cell shown

POSCAR file:
```
Nd3Er
1.0
7.3432 0.0000 0.0000
-3.6716 6.3594 0.0000
0.0000 0.0000 5.9621
Nd Er
6 2
Direct
0.1684 0.3368 0.2500 Nd
0.1684 0.8316 0.2500 Nd
0.3368 0.1684 0.7500 Nd
0.6632 0.8316 0.2500 Nd
0.8316 0.1684 0.7500 Nd
0.8316 0.6632 0.7500 Nd
0.3333 0.6667 0.7500 Er
0.6667 0.3333 0.2500 Er
```